(1)
Computed, not measured: a relaxed MnVO3 crystal at the PBE+U level of DFT.

The structure in CIF format:
```
data_MnVO3
_chemical_formula_sum 'Mn4 V4 O12'
_symmetry_space_group_name_H-M 'P 1 21/m 1'
_symmetry_Int_Tables_number 11
_symmetry_space_group_name_Hall '-P 2yb'
_cell_length_a 5.191
_cell_length_b 7.602
_cell_length_c 5.315
_cell_angle_alpha 90.00
_cell_angle_beta 90.19
_cell_angle_gamma 90.00
loop_
_atom_site_label
_atom_site_type_symbol
_atom_site_fract_x
_atom_site_fract_y
_atom_site_fract_z
_atom_site_occupancy
Mn1 Mn 0.007 0.250 0.448 1
Mn2 Mn 0.489 0.250 0.949 1
V1 V 0.000 0.000 0.000 1
V2 V 0.500 0.000 0.500 1
O1 O 0.114 0.750 0.951 1
O2 O 0.184 0.060 0.705 1
O3 O 0.317 0.059 0.204 1
O4 O 0.387 0.750 0.452 1
```

Summary:
The electronic total energy comes out at -156.338 eV per cell.

=====

(2)
Computed, not measured: a relaxed MnV8O24 crystal at the PBE+U level of DFT.

The structure in CIF format:
```
data_MnV8O24
_chemical_formula_sum 'Mn2 V16 O48'
_symmetry_space_group_name_H-M 'P 1 21/c 1'
_symmetry_Int_Tables_number 14
_symmetry_space_group_name_Hall '-P 2ybc'
_cell_length_a 11.758
_cell_length_b 8.023
_cell_length_c 10.695
_cell_angle_alpha 90.00
_cell_angle_beta 90.76
_cell_angle_gamma 90.00
loop_
_atom_site_label
_atom_site_type_symbol
_atom_site_fract_x
_atom_site_fract_y
_atom_site_fract_z
_atom_site_occupancy
Mn1 Mn 0.000 0.000 0.000 1
V1 V 0.338 0.029 0.025 1
V2 V 0.353 0.161 0.312 1
V3 V 0.356 0.724 0.799 1
V4 V 0.358 0.040 0.585 1
O1 O 0.006 0.022 0.841 1
O2 O 0.009 0.713 0.509 1
O3 O 0.201 0.017 0.013 1
O4 O 0.218 0.181 0.297 1
O5 O 0.221 0.740 0.794 1
O6 O 0.223 0.039 0.598 1
O7 O 0.377 0.241 0.975 1
O8 O 0.377 0.520 0.688 1
O9 O 0.388 0.539 0.917 1
O10 O 0.396 0.620 0.424 1
O11 O 0.406 0.646 0.168 1
O12 O 0.413 0.186 0.710 1
```

Summary:
The electronic total energy comes out at -461.869 eV per cell.

=====

(3)
Computed, not measured: a relaxed MnV2O4 crystal at the PBE+U level of DFT.

The structure in CIF format:
```
data_MnV2O4
_chemical_formula_sum 'Mn24 V48 O96'
_symmetry_space_group_name_H-M 'R 3 m'
_symmetry_Int_Tables_number 160
_symmetry_space_group_name_Hall 'R 3 -2"'
_cell_length_a 6.0347
_cell_length_b 6.0347
_cell_length_c 60.4388
_cell_angle_alpha 90.00
_cell_angle_beta 90.00
_cell_angle_gamma 120.00
loop_
_atom_site_label
_atom_site_type_symbol
_atom_site_fract_x
_atom_site_fract_y
_atom_site_fract_z
_atom_site_occupancy
Mn1 Mn 0.0000 0.0000 0.0000 1
Mn2 Mn 0.0000 0.0000 0.0630 1
Mn3 Mn 0.0000 0.0000 0.2503 1
Mn4 Mn 0.0000 0.0000 0.4998 1
Mn5 Mn 0.0000 0.0000 0.6566 1
Mn6 Mn 0.0000 0.0000 0.7494 1
Mn7 Mn 0.0000 0.0000 0.8134 1
Mn8 Mn 0.0000 0.0000 0.9054 1
V1 V 0.0000 0.0000 0.1539 1
V2 V 0.0000 0.0000 0.3119 1
V3 V 0.0000 0.0000 0.4053 1
V4 V 0.0000 0.0000 0.5616 1
V5 V 0.0039 0.5020 0.0313 1
V6 V 0.1672 0.3343 0.6141 1
V7 V 0.1693 0.3386 0.1143 1
V8 V 0.1723 0.3446 0.8638 1
O1 O 0.0000 0.0000 0.0971 1
O2 O 0.0000 0.0000 0.2158 1
O3 O 0.0000 0.0000 0.3443 1
O4 O 0.0000 0.0000 0.4655 1
O5 O 0.0000 0.0000 0.5943 1
O6 O 0.0000 0.0000 0.7153 1
O7 O 0.0000 0.0000 0.8474 1
O8 O 0.0000 0.0000 0.9655 1
O9 O 0.0249 0.5125 0.3469 1
O10 O 0.0276 0.5138 0.5959 1
O11 O 0.0372 0.5186 0.0941 1
O12 O 0.0412 0.5206 0.8429 1
O13 O 0.1686 0.3372 0.5492 1
O14 O 0.1708 0.3417 0.3003 1
O15 O 0.1804 0.3607 0.7998 1
O16 O 0.1828 0.3655 0.0509 1
```

Summary:
The energy above the most stable polymorph in this dataset is 0.000 eV per atom.